Computed, not measured: an optimized crystal structure of CuWO4 at the PBE with a Hubbard U level of DFT.

```
CuWO4
1.0
6.820 0.000 0.000
0.000 9.034 0.000
-0.104 0.000 12.128
Cu W O
8 8 32
Direct
0.126 0.041 0.109
0.126 0.459 0.609
0.321 0.614 0.108
0.321 0.886 0.608
0.679 0.114 0.392
0.679 0.386 0.892
0.874 0.541 0.391
0.874 0.959 0.891
0.092 0.602 0.862
0.092 0.898 0.362
0.395 0.058 0.877
0.395 0.442 0.377
0.605 0.558 0.623
0.605 0.942 0.123
0.908 0.102 0.638
0.908 0.398 0.138
0.036 0.573 0.113
0.036 0.927 0.613
0.084 0.246 0.620
0.084 0.254 0.120
0.143 0.010 0.918
0.143 0.490 0.418
0.182 0.610 0.720
0.182 0.890 0.220
0.304 0.634 0.951
0.304 0.866 0.451
0.382 0.006 0.734
0.382 0.494 0.234
0.401 0.066 0.070
0.401 0.434 0.570
0.450 0.246 0.376
0.450 0.254 0.876
0.550 0.746 0.124
0.550 0.754 0.624
0.599 0.566 0.430
0.599 0.934 0.930
0.618 0.506 0.766
0.618 0.994 0.266
0.696 0.134 0.549
0.696 0.366 0.049
0.818 0.110 0.780
0.818 0.390 0.280
0.857 0.510 0.582
0.857 0.990 0.082
0.916 0.746 0.880
0.916 0.754 0.380
0.964 0.073 0.387
0.964 0.427 0.887
```

Output
theoretical density = 5.54 g/cm3
MP2020-corrected energy = -7.7587 eV/atom
relative energy among the computed polymorphs = 84 meV/atom
ΔH_f (0 K) = -1.62 eV/atom